# LaTi6O12

A relaxed structure of LaTi6O12 (PBE-GGA, the Materials Project).

Space group: No. 12
E_form (meV per atom): -3448
E above lowest polymorph (eV per formula unit): 0.00
VASP energy (eV per cell): -337.92

a b c (Å): 8.2715 8.2715 9.7889
angles (deg): 55.13 55.13 65.82
Atoms (fractional coordinates):
Ti  0.3547  0.3547  0.4658
O  0.5219  0.8619  0.9486
Ti  0.3096  0.9802  0.5288
Ti  0.5023  0.8321  0.1850
Ti  0.6453  0.6453  0.5342
O  0.1381  0.4781  0.0514
O  0.8469  0.8469  0.3371
O  0.1498  0.1498  0.3927
O  0.1205  0.7869  0.7301
O  0.1790  0.5211  0.3297
Ti  0.8292  0.8292  0.8214
O  0.1531  0.1531  0.6629
O  0.8619  0.5219  0.9486
O  0.5211  0.1790  0.3297
O  0.7869  0.1205  0.7301
O  0.5452  0.5452  0.2786
O  0.4851  0.8177  0.3944
O  0.5149  0.1823  0.6056
Ti  0.1679  0.4977  0.8150
Ti  0.4977  0.1679  0.8150
Ti  0.0198  0.6904  0.4712
O  0.8795  0.2131  0.2699
Ti  0.9802  0.3096  0.5288
O  0.8502  0.8502  0.6073
Ti  0.6904  0.0198  0.4712
La  0.7686  0.2314  0.0000
O  0.4548  0.4548  0.7214
Ti  0.8321  0.5023  0.1850
La  0.2314  0.7686  0.0000
O  0.2131  0.8795  0.2699
O  0.4789  0.8210  0.6703
O  0.8210  0.4789  0.6703
O  0.4781  0.1381  0.0514
O  0.8177  0.4851  0.3944
Ti  0.1708  0.1708  0.1786
O  0.1823  0.5149  0.6056
O  0.8051  0.8051  0.0535
O  0.1949  0.1949  0.9465